No. 1
Entry from the Materials Project database: a relaxed structure of Sr5Nb4O15 (r2SCAN).

Cell: 5.7080 5.7080 23.0544 Å, 90.00 90.00 120.00°
Closest atoms and distances in Å follow each position.
Fractional coordinates of all 48 atoms:
Sr 0.3333 0.6667 0.1410  6 O 2.58-2.60
Sr 0.3333 0.6667 0.4706  6 O 2.54-2.58
Sr 0.0000 0.0000 0.2500  9 O 2.59-2.77
Sr 0.0000 0.0000 0.7500  9 O 2.59-2.77
Sr 0.3333 0.6667 0.6410  6 O 2.58-2.60
Sr 0.3333 0.6667 0.9706  6 O 2.54-2.58
Sr 0.6667 0.3333 0.0294  6 O 2.54-2.58
Sr 0.6667 0.3333 0.3590  6 O 2.58-2.60
Sr 0.6667 0.3333 0.5294  6 O 2.54-2.58
Sr 0.6667 0.3333 0.8590  6 O 2.58-2.60
Nb 0.3333 0.6667 0.3028  6 O 1.96-2.07
Nb 0.0000 0.0000 0.0904  3 O 1.88
Nb 0.0000 0.0000 0.4096  3 O 1.88
Nb 0.0000 0.0000 0.5904  3 O 1.88
Nb 0.0000 0.0000 0.9096  3 O 1.88
Nb 0.3333 0.6667 0.8028  6 O 1.96-2.07
Nb 0.6667 0.3333 0.1972  6 O 1.96-2.07
Nb 0.6667 0.3333 0.6972  6 O 1.96-2.07
O 0.0996 0.7658 0.5552  1 Nb 1.88
O 0.1152 0.7844 0.3463  1 Nb 1.96
O 0.0000 0.5468 0.7500  2 Nb 2.07
O 0.0000 0.4532 0.2500  2 Nb 2.07
O 0.2156 0.8847 0.8463  1 Nb 1.96
O 0.2342 0.9003 0.0552  1 Nb 1.88
O 0.0997 0.3338 0.0552  1 Nb 1.88
O 0.1153 0.3308 0.8463  1 Nb 1.96
O 0.2156 0.3308 0.3463  1 Nb 1.96
O 0.2342 0.3338 0.5552  1 Nb 1.88
O 0.3338 0.2342 0.9448  1 Nb 1.88
O 0.6662 0.9004 0.5552  1 Nb 1.88
O 0.6692 0.8848 0.3463  1 Nb 1.96
O 0.3308 0.2156 0.1537  1 Nb 1.96
O 0.4532 0.4532 0.7500  2 Nb 2.07
O 0.5468 0.5468 0.2500  2 Nb 2.07
O 0.6692 0.7844 0.8463  1 Nb 1.96
O 0.3308 0.1153 0.6537  1 Nb 1.96
O 0.3338 0.0997 0.4448  1 Nb 1.88
O 0.6662 0.7658 0.0552  1 Nb 1.88
O 0.7658 0.6662 0.4448  1 Nb 1.88
O 0.7845 0.6692 0.6537  1 Nb 1.96
O 0.4532 0.0000 0.2500  2 Nb 2.07
O 0.5468 0.0000 0.7500  2 Nb 2.07
O 0.8848 0.6692 0.1537  1 Nb 1.96
O 0.9003 0.6662 0.9448  1 Nb 1.88
O 0.7658 0.0997 0.9448  1 Nb 1.88
O 0.7844 0.1152 0.1537  1 Nb 1.96
O 0.8847 0.2155 0.6537  1 Nb 1.96
O 0.9003 0.2342 0.4448  1 Nb 1.88

Calculated values
E_tot: -678.34 eV for the cell shown
Calculated volume: 650.50 Å³ per cell
Space group: P-3c1
Formation energy: -74.916 eV per formula unit
Magnetization: 0.0 μB per formula unit

No. 2
Entry from the Materials Project database: a relaxed structure of TbNbO4 (r2SCAN).

Cell: 5.3869 5.3869 5.1163 Å, 90.00 90.00 90.00°
Closest atoms and distances in Å follow each position.
Fractional coordinates of all 12 atoms:
Tb 0.5000 0.5000 0.0000  8 O 2.36
Tb 0.0000 0.0000 0.0000  8 O 2.36
Nb 0.0000 0.5000 0.5000  4 O 1.91
Nb 0.5000 0.0000 0.5000  4 O 1.91
O 0.1905 0.6905 0.2582  1 Nb 1.91
O 0.8095 0.6905 0.7418  1 Nb 1.91
O 0.8095 0.3095 0.2582  1 Nb 1.91
O 0.1905 0.3095 0.7418  1 Nb 1.91
O 0.6905 0.1905 0.7418  1 Nb 1.91
O 0.3095 0.1905 0.2582  1 Nb 1.91
O 0.6905 0.8095 0.2582  1 Nb 1.91
O 0.3095 0.8095 0.7418  1 Nb 1.91

Calculated values
E_tot: -200.28 eV for the cell shown
Calculated volume: 148.47 Å³ per cell
Space group: P4/nbm
Formation energy: -20.291 eV per formula unit
Magnetization: 0.0 μB per formula unit

No. 3
Entry from the Materials Project database: a relaxed structure of TbNbO4 (r2SCAN).

Cell: 5.1227 5.3259 6.5709 Å, 112.19 111.17 94.06°
Closest atoms and distances in Å follow each position.
Fractional coordinates of all 12 atoms:
Tb 0.8786 0.1286 0.7571  8 O 2.33-2.42
Tb 0.1214 0.8714 0.2429  8 O 2.33-2.42
Nb 0.3578 0.6077 0.7154  4 O 1.88-1.94
Nb 0.6422 0.3923 0.2846  4 O 1.88-1.94
O 0.2894 0.1274 0.0772  1 Nb 1.88
O 0.7878 0.4498 0.0773  1 Nb 1.88
O 0.7106 0.8726 0.9228  1 Nb 1.88
O 0.2122 0.5502 0.9227  1 Nb 1.88
O 0.5109 0.7158 0.4364  1 Nb 1.94
O 0.9255 0.2207 0.4365  1 Nb 1.94
O 0.4891 0.2842 0.5636  1 Nb 1.94
O 0.0745 0.7793 0.5635  1 Nb 1.94

Calculated values
E_tot: -200.46 eV for the cell shown
Calculated volume: 150.27 Å³ per cell
Space group: C2/c
Formation energy: -20.379 eV per formula unit
Magnetization: 0.0 μB per formula unit

No. 4
Entry from the Materials Project database: a relaxed structure of TiNb3O6 (r2SCAN).

Cell: 6.6788 6.6788 6.6788 Å, 73.29 73.29 73.29°
Closest atoms and distances in Å follow each position.
Fractional coordinates of all 20 atoms:
Ti 0.2731 0.2731 0.2731  3 O 1.88
Ti 0.7269 0.7269 0.7269  3 O 1.88
Nb 0.1182 0.9443 0.7048  5 O 2.07-2.23
Nb 0.9443 0.7048 0.1182  5 O 2.07-2.23
Nb 0.7048 0.1182 0.9443  5 O 2.07-2.23
Nb 0.8818 0.0557 0.2952  5 O 2.07-2.23
Nb 0.0557 0.2952 0.8818  5 O 2.07-2.23
Nb 0.2952 0.8818 0.0557  5 O 2.07-2.23
O 0.5689 0.1715 0.2592  1 Ti 1.88, 1 Nb 2.07
O 0.1715 0.2592 0.5689  1 Ti 1.88, 1 Nb 2.07
O 0.2592 0.5689 0.1715  1 Ti 1.88, 1 Nb 2.07
O 0.4311 0.8285 0.7408  1 Ti 1.88, 1 Nb 2.07
O 0.8285 0.7408 0.4311  1 Ti 1.88, 1 Nb 2.07
O 0.7408 0.4311 0.8285  1 Ti 1.88, 1 Nb 2.07
O 0.0326 0.6479 0.7985  3 Nb 2.09-2.23, 1 Ti 2.11
O 0.6479 0.7985 0.0326  3 Nb 2.09-2.23, 1 Ti 2.11
O 0.2015 0.9674 0.3521  3 Nb 2.09-2.23, 1 Ti 2.11
O 0.3521 0.2015 0.9674  3 Nb 2.09-2.23, 1 Ti 2.11
O 0.9674 0.3521 0.2015  3 Nb 2.09-2.23, 1 Ti 2.11
O 0.7985 0.0326 0.6479  3 Nb 2.09-2.23, 1 Ti 2.11

Calculated values
E_tot: -300.06 eV for the cell shown
Calculated volume: 266.38 Å³ per cell
Space group: R-3
Formation energy: -27.054 eV per formula unit
Magnetization: 0.0 μB per formula unit

No. 5
Entry from the Materials Project database: a relaxed structure of YbNbO3 (r2SCAN).

Cell: 4.0198 4.0198 4.0198 Å, 90.00 90.00 90.00°
Closest atoms and distances in Å follow each position.
Fractional coordinates of all 5 atoms:
Yb 0.0000 0.0000 0.0000  12 O 2.84
Nb 0.5000 0.5000 0.5000  6 O 2.01
O 0.5000 0.5000 0.0000  2 Nb 2.01
O 0.5000 0.0000 0.5000  2 Nb 2.01
O 0.0000 0.5000 0.5000  2 Nb 2.01

Calculated values
E_tot: -91.29 eV for the cell shown
Calculated volume: 64.95 Å³ per cell
Space group: Pm-3m
Formation energy: -12.110 eV per formula unit
Magnetization: 0.0 μB per formula unit

No. 6
Entry from the Materials Project database: a relaxed structure of YbNbO4 (r2SCAN).

Cell: 5.0726 5.2108 6.4522 Å, 112.26 111.55 93.65°
Closest atoms and distances in Å follow each position.
Fractional coordinates of all 12 atoms:
Yb 0.3780 0.6280 0.2560  8 O 2.26-2.37
Yb 0.6220 0.3720 0.7440  8 O 2.26-2.37
Nb 0.8605 0.1105 0.2209  4 O 1.88-1.94
Nb 0.1395 0.8895 0.7791  4 O 1.88-1.94
O 0.2176 0.3819 0.4272  1 Nb 1.88
O 0.7095 0.0452 0.4272  1 Nb 1.88
O 0.7824 0.6181 0.5728  1 Nb 1.88
O 0.2905 0.9548 0.5728  1 Nb 1.88
O 0.0092 0.2207 0.9370  1 Nb 1.94
O 0.4278 0.7163 0.9370  1 Nb 1.94
O 0.9908 0.7793 0.0630  1 Nb 1.94
O 0.5722 0.2837 0.0630  1 Nb 1.94

Calculated values
E_tot: -211.36 eV for the cell shown
Calculated volume: 142.67 Å³ per cell
Space group: C2/c
Formation energy: -20.528 eV per formula unit
Magnetization: 0.0 μB per formula unit

No. 7
Entry from the Materials Project database: a relaxed structure of NbOs3 (r2SCAN).

Cell: 3.9211 3.9211 3.9211 Å, 90.00 90.00 90.00°
Closest atoms and distances in Å follow each position.
Fractional coordinates of all 4 atoms:
Nb 0.0000 0.0000 0.0000  12 Os 2.77
Os 0.0000 0.5000 0.5000  4 Nb 2.77, 8 Os 2.77
Os 0.5000 0.0000 0.5000  4 Nb 2.77, 8 Os 2.77
Os 0.5000 0.5000 0.0000  4 Nb 2.77, 8 Os 2.77

Calculated values
E_tot: -184.00 eV for the cell shown
Calculated volume: 60.28 Å³ per cell
Space group: Pm-3m
Formation energy: -0.306 eV per formula unit
Magnetization: 0.0 μB per formula unit

Repeat the second record exactly.
Entry from the Materials Project database: a relaxed structure of TbNbO4 (r2SCAN).

Cell: 5.3869 5.3869 5.1163 Å, 90.00 90.00 90.00°
Closest atoms and distances in Å follow each position.
Fractional coordinates of all 12 atoms:
Tb 0.5000 0.5000 0.0000  8 O 2.36
Tb 0.0000 0.0000 0.0000  8 O 2.36
Nb 0.0000 0.5000 0.5000  4 O 1.91
Nb 0.5000 0.0000 0.5000  4 O 1.91
O 0.1905 0.6905 0.2582  1 Nb 1.91
O 0.8095 0.6905 0.7418  1 Nb 1.91
O 0.8095 0.3095 0.2582  1 Nb 1.91
O 0.1905 0.3095 0.7418  1 Nb 1.91
O 0.6905 0.1905 0.7418  1 Nb 1.91
O 0.3095 0.1905 0.2582  1 Nb 1.91
O 0.6905 0.8095 0.2582  1 Nb 1.91
O 0.3095 0.8095 0.7418  1 Nb 1.91

Calculated values
E_tot: -200.28 eV for the cell shown
Calculated volume: 148.47 Å³ per cell
Space group: P4/nbm
Formation energy: -20.291 eV per formula unit
Magnetization: 0.0 μB per formula unit